An optimized crystal structure of NbCl4, computed with PBE-GGA. Values from VASP.

Quantum ESPRESSO input file:
```
&SYSTEM
  ibrav = 0, nat = 10, ntyp = 2
/
ATOMIC_SPECIES
Nb 92.91 Nb.upf
Cl 35.45 Cl.upf
CELL_PARAMETERS angstrom
6.558 -3.448 0.000
6.558 3.448 0.000
-5.651 0.000 6.666
ATOMIC_POSITIONS crystal
Nb 0.220 0.780 0.000
Nb 0.780 0.220 0.000
Cl 0.192 0.192 0.166
Cl 0.223 0.734 0.715
Cl 0.266 0.777 0.285
Cl 0.333 0.333 0.856
Cl 0.667 0.667 0.144
Cl 0.734 0.223 0.715
Cl 0.777 0.266 0.285
Cl 0.808 0.808 0.834
```

## Properties
formation enthalpy at 0 K	-8.7	eV/f.u.
crystal system	monoclinic